(1)
CaPbI4 | meta-GGA r2SCAN | relaxed

a b c (Å): 7.3146 4.5718 7.9838
angles (deg): 90.00 89.79 90.00
Last column: nearest neighbours and their distance in Å.
Atoms (fractional coordinates):
Ca: 0.0000 0.5000 0.5000  6 I 3.16
Pb: 0.0000 0.0000 0.0000  6 I 3.25
I: 0.2435 0.0000 0.6584  2 Ca 3.16, 1 Pb 3.25
I: 0.2495 0.5000 0.1757  1 Ca 3.16, 2 Pb 3.25
I: 0.7505 0.5000 0.8243  1 Ca 3.16, 2 Pb 3.25
I: 0.7565 0.0000 0.3416  2 Ca 3.16, 1 Pb 3.25

Values from the calculation:
V ... 267 Å³/cell

(2)
AcAgAu2 | meta-GGA r2SCAN | relaxed

a b c (Å): 5.1669 5.1669 5.1669
angles (deg): 60.00 60.00 60.00
Last column: nearest neighbours and their distance in Å.
Atoms (fractional coordinates):
Ac: 0.2500 0.2500 0.2500  8 Au 3.16
Ag: 0.7500 0.7500 0.7500  8 Au 3.16
Au: 0.5000 0.5000 0.5000  4 Ac 3.16, 4 Ag 3.16
Au: 0.0000 0.0000 0.0000  4 Ag 3.16, 4 Ac 3.16

Values from the calculation:
V ... 98 Å³/cell

(3)
Gd3I | meta-GGA r2SCAN | relaxed

a b c (Å): 5.0585 5.0585 5.0585
angles (deg): 90.00 90.00 90.00
Last column: nearest neighbours and their distance in Å.
Atoms (fractional coordinates):
Gd: 0.0000 0.5000 0.5000  8 Gd 3.58, 4 I 3.58
Gd: 0.5000 0.0000 0.5000  8 Gd 3.58, 4 I 3.58
Gd: 0.5000 0.5000 0.0000  8 Gd 3.58, 4 I 3.58
I: 0.0000 0.0000 0.0000  12 Gd 3.58

Values from the calculation:
V ... 129 Å³/cell

(4)
Na3H7Ru | meta-GGA r2SCAN | relaxed

a b c (Å): 9.4662 9.4662 5.2235
angles (deg): 90.00 90.00 90.00
Last column: nearest neighbours and their distance in Å.
Atoms (fractional coordinates):
Na: 0.6994 0.9651 0.5000  6 H 2.31-2.52
Na: 0.3006 0.0349 0.5000  6 H 2.31-2.52
Na: 0.1994 0.5349 0.0000  6 H 2.31-2.52
Na: 0.8006 0.4651 0.0000  6 H 2.31-2.52
Na: 0.9651 0.6994 0.5000  6 H 2.31-2.52
Na: 0.0349 0.3006 0.5000  6 H 2.31-2.52
Na: 0.5349 0.1994 0.0000  6 H 2.31-2.52
Na: 0.4651 0.8006 0.0000  6 H 2.31-2.52
Na: 0.3854 0.3854 0.5000  6 H 2.19-2.33
Na: 0.6146 0.6146 0.5000  6 H 2.19-2.33
Na: 0.8854 0.1146 0.0000  6 H 2.19-2.33
Na: 0.1146 0.8854 0.0000  6 H 2.19-2.33
H: 0.6051 0.3949 0.6989  1 Ru 1.67
H: 0.3949 0.6051 0.6989  1 Ru 1.67
H: 0.1051 0.1051 0.1989  1 Ru 1.67
H: 0.8949 0.8949 0.1989  1 Ru 1.67
H: 0.3949 0.6051 0.3011  1 Ru 1.67
H: 0.6051 0.3949 0.3011  1 Ru 1.67
H: 0.8949 0.8949 0.8011  1 Ru 1.67
H: 0.1051 0.1051 0.8011  1 Ru 1.67
H: 0.7432 0.2568 0.2058  1 Ru 1.63
H: 0.2568 0.7432 0.2058  1 Ru 1.63
H: 0.2432 0.2432 0.7058  1 Ru 1.63
H: 0.7568 0.7568 0.7058  1 Ru 1.63
H: 0.2568 0.7432 0.7942  1 Ru 1.63
H: 0.7432 0.2568 0.7942  1 Ru 1.63
H: 0.7568 0.7568 0.2942  1 Ru 1.63
H: 0.2432 0.2432 0.2942  1 Ru 1.63
H: 0.5686 0.1744 0.5000  1 Ru 1.72
H: 0.4314 0.8256 0.5000  1 Ru 1.72
H: 0.0686 0.3256 0.0000  1 Ru 1.72
H: 0.9314 0.6744 0.0000  1 Ru 1.72
H: 0.1744 0.5686 0.5000  1 Ru 1.72
H: 0.8256 0.4314 0.5000  1 Ru 1.72
H: 0.3256 0.0686 0.0000  1 Ru 1.72
H: 0.6744 0.9314 0.0000  1 Ru 1.72
H: 0.8256 0.1744 0.5000  1 Ru 1.65
H: 0.1744 0.8256 0.5000  1 Ru 1.65
H: 0.3256 0.3256 0.0000  1 Ru 1.65
H: 0.6744 0.6744 0.0000  1 Ru 1.65
Ru: 0.7023 0.2977 0.5000  7 H 1.63-1.72
Ru: 0.2977 0.7023 0.5000  7 H 1.63-1.72
Ru: 0.2023 0.2023 0.0000  7 H 1.63-1.72
Ru: 0.7977 0.7977 0.0000  7 H 1.63-1.72

Values from the calculation:
V ... 468 Å³/cell

(5)
PmCd3 | meta-GGA r2SCAN | relaxed

a b c (Å): 6.7355 6.7356 4.9471
angles (deg): 90.00 90.00 120.00
Last column: nearest neighbours and their distance in Å.
Atoms (fractional coordinates):
Pm: 0.6667 0.3333 0.2500  12 Cd 3.21-3.37
Pm: 0.3333 0.6667 0.7500  12 Cd 3.21-3.37
Cd: 0.8422 0.1578 0.7500  6 Cd 3.08-3.19, 4 Pm 3.21-3.37
Cd: 0.3156 0.1578 0.7500  6 Cd 3.08-3.19, 4 Pm 3.21-3.37
Cd: 0.8422 0.6844 0.7500  6 Cd 3.08-3.19, 4 Pm 3.21-3.37
Cd: 0.1578 0.8422 0.2500  6 Cd 3.08-3.19, 4 Pm 3.21-3.37
Cd: 0.6844 0.8422 0.2500  6 Cd 3.08-3.19, 4 Pm 3.21-3.37
Cd: 0.1578 0.3156 0.2500  6 Cd 3.08-3.19, 4 Pm 3.21-3.37

Values from the calculation:
V ... 194 Å³/cell

(6)
P4S3 | meta-GGA r2SCAN | relaxed

a b c (Å): 9.8644 10.7021 14.2579
angles (deg): 90.00 90.00 90.00
Last column: nearest neighbours and their distance in Å.
Atoms (fractional coordinates):
P: 0.8630 0.0480 0.2428  1 S 2.09, 2 P 2.23-2.24
P: 0.3630 0.9520 0.7572  1 S 2.09, 2 P 2.23-2.24
P: 0.6370 0.5480 0.2572  1 S 2.09, 2 P 2.23-2.24
P: 0.1370 0.4520 0.7428  1 S 2.09, 2 P 2.23-2.24
P: 0.1370 0.9520 0.7572  1 S 2.09, 2 P 2.23-2.24
P: 0.6370 0.0480 0.2428  1 S 2.09, 2 P 2.23-2.24
P: 0.3630 0.4520 0.7428  1 S 2.09, 2 P 2.23-2.24
P: 0.8630 0.5480 0.2572  1 S 2.09, 2 P 2.23-2.24
P: 0.2500 0.7920 0.8211  1 S 2.09, 2 P 2.24
P: 0.7500 0.2080 0.1789  1 S 2.09, 2 P 2.24
P: 0.2500 0.2920 0.6789  1 S 2.09, 2 P 2.24
P: 0.7500 0.7080 0.3211  1 S 2.09, 2 P 2.24
P: 0.8634 0.7301 0.8400  1 S 2.09, 2 P 2.24
P: 0.3634 0.2699 0.1600  1 S 2.09, 2 P 2.24
P: 0.6366 0.2301 0.6600  1 S 2.09, 2 P 2.24
P: 0.1366 0.7699 0.3400  1 S 2.09, 2 P 2.24
P: 0.1366 0.2699 0.1600  1 S 2.09, 2 P 2.24
P: 0.6366 0.7301 0.8400  1 S 2.09, 2 P 2.24
P: 0.3634 0.7699 0.3400  1 S 2.09, 2 P 2.24
P: 0.8634 0.2301 0.6600  1 S 2.09, 2 P 2.24
P: 0.2500 0.4772 0.0097  3 S 2.11
P: 0.7500 0.5228 0.9903  3 S 2.11
P: 0.2500 0.9772 0.4903  3 S 2.11
P: 0.7500 0.0228 0.5097  3 S 2.11
P: 0.7500 0.0797 0.7358  1 S 2.09, 2 P 2.24
P: 0.2500 0.9203 0.2642  1 S 2.09, 2 P 2.24
P: 0.7500 0.5797 0.7642  1 S 2.09, 2 P 2.24
P: 0.2500 0.4203 0.2358  1 S 2.09, 2 P 2.24
P: 0.7500 0.4683 0.4650  3 S 2.11
P: 0.2500 0.5317 0.5350  3 S 2.11
P: 0.7500 0.9683 0.0350  3 S 2.11
P: 0.2500 0.0317 0.9650  3 S 2.11
S: 0.9125 0.6475 0.9682  2 P 2.09-2.11
S: 0.4125 0.3525 0.0318  2 P 2.09-2.11
S: 0.5875 0.1475 0.5318  2 P 2.09-2.11
S: 0.0875 0.8525 0.4682  2 P 2.09-2.11
S: 0.0875 0.3525 0.0318  2 P 2.09-2.11
S: 0.5875 0.6475 0.9682  2 P 2.09-2.11
S: 0.4125 0.8525 0.4682  2 P 2.09-2.11
S: 0.9125 0.1475 0.5318  2 P 2.09-2.11
S: 0.9132 0.9366 0.1276  2 P 2.09-2.11
S: 0.4132 0.0634 0.8724  2 P 2.09-2.11
S: 0.5868 0.4366 0.3724  2 P 2.09-2.11
S: 0.0868 0.5634 0.6276  2 P 2.09-2.11
S: 0.0868 0.0634 0.8724  2 P 2.09-2.11
S: 0.5868 0.9366 0.1276  2 P 2.09-2.11
S: 0.4132 0.5634 0.6276  2 P 2.09-2.11
S: 0.9132 0.4366 0.3724  2 P 2.09-2.11
S: 0.2500 0.8349 0.9642  2 P 2.09-2.11
S: 0.7500 0.1651 0.0357  2 P 2.09-2.11
S: 0.2500 0.3349 0.5357  2 P 2.09-2.11
S: 0.7500 0.6651 0.4642  2 P 2.09-2.11
S: 0.2500 0.5685 0.1405  2 P 2.09-2.11
S: 0.7500 0.4315 0.8595  2 P 2.09-2.11
S: 0.2500 0.0685 0.3595  2 P 2.09-2.11
S: 0.7500 0.9315 0.6405  2 P 2.09-2.11

Values from the calculation:
V ... 1505 Å³/cell
Relative energy among the computed polymorphs ... 0 meV/atom

(7)
NdB2C2 | meta-GGA r2SCAN | relaxed

a b c (Å): 3.8333 5.3786 5.3786
angles (deg): 90.00 90.00 90.00
Last column: nearest neighbours and their distance in Å.
Atoms (fractional coordinates):
Nd: 0.0000 0.5000 0.5000  8 C 2.78, 8 B 2.83
Nd: 0.0000 0.0000 0.0000  8 C 2.78, 8 B 2.83
B: 0.5000 0.6376 0.1376  3 C 1.53-1.61
B: 0.5000 0.8624 0.6376  3 C 1.53-1.61
B: 0.5000 0.3624 0.8624  3 C 1.53-1.61
B: 0.5000 0.1376 0.3624  3 C 1.53-1.61
C: 0.5000 0.6611 0.8389  3 B 1.53-1.61
C: 0.5000 0.8389 0.3389  3 B 1.53-1.61
C: 0.5000 0.1611 0.6611  3 B 1.53-1.61
C: 0.5000 0.3389 0.1611  3 B 1.53-1.61

Values from the calculation:
V ... 111 Å³/cell

(8)
Cu2PbSe2Cl2O6 | meta-GGA r2SCAN | relaxed

a b c (Å): 8.1178 8.1178 6.9130
angles (deg): 89.17 89.17 72.32
Last column: nearest neighbours and their distance in Å.
Atoms (fractional coordinates):
Cu: 0.8896 0.1104 0.7500  4 O 1.92-1.99
Cu: 0.1104 0.8896 0.2500  4 O 1.92-1.99
Cu: 0.0000 0.5000 0.0000  2 O 1.91
Cu: 0.5000 0.0000 0.5000  2 O 1.91
Pb: 0.6576 0.3424 0.2500  4 O 2.46-2.56
Pb: 0.3424 0.6576 0.7500  4 O 2.46-2.56
Se: 0.7322 0.9322 0.0878  3 O 1.70-1.74
Se: 0.0678 0.2678 0.4122  3 O 1.70-1.74
Se: 0.2678 0.0678 0.9122  3 O 1.70-1.74
Se: 0.9322 0.7322 0.5878  3 O 1.70-1.74
Cl: 0.2718 0.4740 0.1176  1 Cu 2.31
Cl: 0.5260 0.7282 0.3824  1 Cu 2.31
Cl: 0.7282 0.5260 0.8824  1 Cu 2.31
Cl: 0.4740 0.2718 0.6176  1 Cu 2.31
O: 0.8010 0.1044 0.0078  1 Se 1.74, 1 Cu 1.92
O: 0.8956 0.1990 0.4922  1 Se 1.74, 1 Cu 1.92
O: 0.1990 0.8956 0.9922  1 Se 1.74, 1 Cu 1.92
O: 0.1044 0.8010 0.5078  1 Se 1.74, 1 Cu 1.92
O: 0.9488 0.3722 0.2153  1 Se 1.73, 1 Cu 1.91
O: 0.6278 0.0512 0.2847  1 Se 1.73, 1 Cu 1.91
O: 0.0512 0.6278 0.7847  1 Se 1.73, 1 Cu 1.91
O: 0.3722 0.9488 0.7153  1 Se 1.73, 1 Cu 1.91
O: 0.9189 0.7975 0.1785  1 Se 1.70
O: 0.2025 0.0811 0.3215  1 Se 1.70
O: 0.0811 0.2025 0.8215  1 Se 1.70
O: 0.7975 0.9189 0.6785  1 Se 1.70

Values from the calculation:
V ... 434 Å³/cell

Calculated total energy list, top to bottom, in eV per cell: -169.44; -193.57; -155.33; -256.10; -182.50; -489.53; -133.11; -333.59
ΔE_f list, top to bottom, in eV per atom: -1.31; -0.60; -0.14; -0.34; -0.35; -0.15; -0.51; -0.93